Below is a relaxed structure of Gd4Ni13C4, with properties calculated at the PBE level.

Calculated values
Energy of formation from the pure elements = -0.32 eV per atom

Cell lengths 11.7050, 12.1063, 3.9051 Å; angles 90.00, 90.00, 90.00 degrees
Last column: nearest neighbours and their distance in Å.
Space group Cmmm (No. 65)
Unique sites:
Gd: 0.0000 0.1886 0.0000  8 Ni 2.69-3.00
Gd: 0.1521 0.5000 0.0000  5 Ni 2.65-2.93, 4 C 2.72
Ni: 0.0000 0.0000 0.5000  8 Ni 2.41-2.49
Ni: 0.1072 0.3247 0.5000  2 C 1.90-1.92
Ni: 0.1211 0.0000 0.0000  6 Ni 2.41-2.45, 3 Gd 2.65-2.69
Ni: 0.1812 0.1075 0.5000  1 C 1.90
Ni: 0.2500 0.2500 0.0000  2 C 1.95
C: 0.0000 0.4451 0.5000  1 C 1.33
C: 0.2500 0.2500 0.5000  6 Ni 1.90-1.95

Below is a relaxed structure of GdC2O6, with properties calculated at the PBE level.

Calculated values
Energy of formation from the pure elements = -1.98 eV per atom
Total energy after the MP2020 corrections = -8.89 eV/atom
Magnetic moment = 36.00 Bohr magnetons per cell

Cell lengths 4.8739, 15.1085, 7.8192 Å; angles 90.00, 90.00, 90.00 degrees
Last column: nearest neighbours and their distance in Å.
Space group Amm2 (No. 38)
Unique sites:
Gd: 0.0000 0.2076 0.0000  9 O 2.39-2.51
C: 0.0000 0.0000 0.1061  2 O 1.25
C: 0.0000 0.0000 0.8940  2 O 1.25
C: 0.5000 0.2239 0.1952  3 O 1.29-1.30
O: 0.0000 0.0755 0.1718  1 C 1.25
O: 0.0000 0.0756 0.8281  1 C 1.25
O: 0.0000 0.1313 0.4967  1 Gd 2.43, 2 O 2.68-2.72
O: 0.2659 0.2468 0.2584  1 C 1.29
O: 0.5000 0.1793 0.0533  1 C 1.30

Below is a relaxed structure of GdRh3C, with properties calculated at the PBE level.

Calculated values
Energy of formation from the pure elements = -0.46 eV per atom

Cell lengths 4.2086, 4.2086, 4.2086 Å; angles 90.00, 90.00, 90.00 degrees
Last column: nearest neighbours and their distance in Å.
Space group Pm-3m (No. 221)
Unique sites:
Gd: 0.0000 0.0000 0.0000  12 Rh 2.98
Rh: 0.0000 0.5000 0.5000  2 C 2.10
C: 0.5000 0.5000 0.5000  6 Rh 2.10

Below is a relaxed structure of Gd8Rh5C12, with properties calculated at the PBE level.

Calculated values
Energy of formation from the pure elements = -0.37 eV per atom
Magnetic moment = 56.30 Bohr magnetons per cell

Cell lengths 28.1005, 3.6243, 7.4763 Å; angles 90.00, 93.64, 90.00 degrees
Last column: nearest neighbours and their distance in Å.
Space group C2/m (No. 12)
Unique sites:
Gd: 0.0471 0.0000 0.2974  4 C 2.68-2.99, 2 Rh 2.85
Gd: 0.0882 0.0000 0.8284  6 C 2.62-2.70
Gd: 0.1996 0.0000 0.6089  3 C 2.37-2.63
Gd: 0.2060 0.0000 0.1162  5 C 2.45-2.60
Rh: 0.0000 0.5000 0.0000  2 C 1.97
Rh: 0.1096 0.5000 0.4913  2 C 2.02
Rh: 0.1170 0.5000 0.1286  2 C 2.12-2.29
C: 0.0226 0.5000 0.7561  1 C 1.30
C: 0.0479 0.5000 0.6159  1 C 1.30
C: 0.1589 0.5000 0.8752  1 C 1.35
C: 0.1681 0.5000 0.3489  1 C 1.34
C: 0.2068 0.5000 0.8689  1 C 1.35
C: 0.2159 0.5000 0.3647  1 C 1.34

Below is a relaxed structure of GdRuC2, with properties calculated at the PBE level.

Calculated values
Energy of formation from the pure elements = -0.19 eV per atom

Cell lengths 4.3766, 9.3054, 5.2503 Å; angles 90.00, 90.00, 90.00 degrees
Last column: nearest neighbours and their distance in Å.
Space group Cmcm (No. 63)
Unique sites:
Gd: 0.0000 0.1830 0.2500  8 C 2.58-2.86
Ru: 0.0000 0.5000 0.0000  4 C 2.14
C: 0.1572 0.0846 0.7500  1 C 1.38

Below is a relaxed structure of Gd3SnC, with properties calculated at the PBE level.

Calculated values
Energy of formation from the pure elements = -0.61 eV per atom

Cell lengths 4.9537, 4.9537, 4.9537 Å; angles 90.00, 90.00, 90.00 degrees
Last column: nearest neighbours and their distance in Å.
Space group Pm-3m (No. 221)
Unique sites:
Gd: 0.0000 0.0000 0.5000  2 C 2.48
Sn: 0.5000 0.5000 0.5000  12 Gd 3.50
C: 0.0000 0.0000 0.0000  6 Gd 2.48

Below is a relaxed structure of Gd3TlC, with properties calculated at the PBE level.

Calculated values
Energy of formation from the pure elements = -0.42 eV per atom

Cell lengths 4.9908, 4.9908, 4.9908 Å; angles 90.00, 90.00, 90.00 degrees
Last column: nearest neighbours and their distance in Å.
Space group Pm-3m (No. 221)
Unique sites:
Gd: 0.0000 0.0000 0.5000  2 C 2.50
Tl: 0.5000 0.5000 0.5000  12 Gd 3.53
C: 0.0000 0.0000 0.0000  6 Gd 2.50

Below is a relaxed structure of GdUC4, with properties calculated at the PBE level.

Calculated values
Energy of formation from the pure elements = -0.07 eV per atom
Magnetic moment = 8.17 Bohr magnetons per cell

Cell lengths 3.6149, 3.6149, 6.1695 Å; angles 90.00, 90.00, 90.00 degrees
Last column: nearest neighbours and their distance in Å.
Space group P4/mmm (No. 123)
Unique sites:
Gd: 0.0000 0.0000 0.0000  10 C 2.41-2.64
U: 0.5000 0.5000 0.5000  10 C 2.43-2.64
C: 0.0000 0.0000 0.3909  1 C 1.35
C: 0.5000 0.5000 0.1062  1 C 1.31